Record 1
First-principles (GGA-PBE) data for Ti2CuS4 after structural relaxation, as listed in the Materials Project.

a = 7.082 Å, b = 7.082 Å, c = 7.082 Å
α = 60.00°, β = 60.00°, γ = 60.00°
Positions (direct):
Ti 0.625 0.125 0.125
Ti 0.125 0.125 0.125
Ti 0.125 0.125 0.625
Ti 0.125 0.625 0.125
S 0.360 0.880 0.880
S 0.880 0.360 0.880
S 0.890 0.370 0.370
S 0.880 0.880 0.360
S 0.880 0.880 0.880
S 0.370 0.370 0.370
S 0.370 0.370 0.890
S 0.370 0.890 0.370
Cu 0.500 0.500 0.500
Cu 0.750 0.750 0.750

## Properties
Electronic total energy ... -0.46716 Ry/atom
Total energy after the MP2020 corrections ... -6.643 eV/atom
Energy of formation ... -1438 meV per atom

---

Record 2
First-principles (GGA-PBE) data for Ti5CuS10 after structural relaxation, as listed in the Materials Project.

a = 5.893 Å, b = 6.810 Å, c = 8.333 Å
α = 107.93°, β = 110.64°, γ = 89.94°
Positions (direct):
S 0.617 0.654 0.399
S 0.187 0.946 0.203
S 0.415 0.254 0.998
S 0.784 0.147 0.401
S 0.984 0.548 0.804
S 0.813 0.054 0.797
S 0.383 0.346 0.601
S 0.216 0.853 0.599
S 0.016 0.452 0.196
S 0.585 0.746 0.002
Ti 0.902 0.802 0.295
Ti 0.694 0.399 0.899
Ti 0.500 0.000 0.500
Ti 0.098 0.198 0.705
Ti 0.306 0.601 0.101
Cu 0.000 0.500 0.500

## Properties
Electronic total energy ... -0.47913 Ry/atom
Total energy after the MP2020 corrections ... -6.833 eV/atom
Energy of formation ... -1524 meV per atom

---

Record 3
First-principles (GGA-PBE) data for Ti5Cu2S10 after structural relaxation, as listed in the Materials Project.

a = 5.890 Å, b = 6.813 Å, c = 8.330 Å
α = 107.63°, β = 110.62°, γ = 90.20°
Positions (direct):
S 0.220 0.349 0.102
S 0.617 0.146 0.901
S 0.183 0.452 0.700
S 0.581 0.252 0.497
S 0.383 0.854 0.099
S 0.817 0.548 0.300
S 0.419 0.748 0.503
S 0.780 0.651 0.898
S 0.017 0.948 0.700
S 0.983 0.052 0.300
Cu 0.895 0.292 0.791
Cu 0.105 0.708 0.209
Ti 0.201 0.399 0.403
Ti 0.396 0.800 0.800
Ti 0.000 0.000 0.000
Ti 0.799 0.601 0.597
Ti 0.604 0.200 0.200

## Properties
Electronic total energy ... -0.46886 Ry/atom
Total energy after the MP2020 corrections ... -6.675 eV/atom
Magnetization ... 0.0 μB/f.u.
Energy of formation ... -1437 meV per atom

---

Record 4
First-principles (GGA-PBE) data for Ti2CuS4 after structural relaxation, as listed in the Materials Project.

a = 6.836 Å, b = 7.104 Å, c = 6.624 Å
α = 104.37°, β = 58.93°, γ = 118.76°
Positions (direct):
Ti 0.761 0.009 0.491
Ti 0.502 0.491 0.991
Ti 0.002 0.509 0.009
Ti 0.243 0.991 0.509
S 0.960 0.164 0.749
S 0.958 0.671 0.763
S 0.037 0.829 0.263
S 0.050 0.329 0.237
S 0.471 0.171 0.737
S 0.458 0.664 0.751
S 0.545 0.336 0.249
S 0.544 0.836 0.251
Cu 0.235 0.500 0.500
Cu 0.485 0.000 0.000

## Properties
Electronic total energy ... -0.45676 Ry/atom
Total energy after the MP2020 corrections ... -6.502 eV/atom
Magnetization ... 0.7 μB/f.u.
Energy of formation ... -1297 meV per atom